Record 1
Below is a relaxed MnP4O12 crystal, with properties calculated at the GGA+U level.

Computed properties:
* size of the total moment: 3.00 μB per formula unit
* offset from the most stable computed form: 0.0233 eV/atom
* uncorrected energy: -7.10 eV per atom
* E_form: -2.38 eV per atom
* SG: No. 15

Cell: 8.2742 8.2742 7.6732 Å, 98.12 98.12 107.97°
Closest atoms and distances in Å follow each position.
Positions (direct):
Mn  0.1317  0.8683  0.7500  6 O 1.85-1.96
Mn  0.8683  0.1317  0.2500  6 O 1.85-1.96
P  0.0396  0.2054  0.6690  4 O 1.52-1.61
P  0.2054  0.0396  0.1690  4 O 1.52-1.61
P  0.2514  0.5758  0.8800  4 O 1.46-1.62
P  0.4242  0.7486  0.6200  4 O 1.46-1.62
P  0.5758  0.2514  0.3800  4 O 1.46-1.62
P  0.7486  0.4242  0.1200  4 O 1.46-1.62
P  0.7946  0.9604  0.8310  4 O 1.52-1.61
P  0.9604  0.7946  0.3310  4 O 1.52-1.61
O  0.0059  0.7419  0.5082  1 P 1.52
O  0.0782  0.1385  0.1644  1 P 1.52
O  0.1118  0.6560  0.8134  1 P 1.56
O  0.1309  0.8691  0.2500  2 P 1.61
O  0.1385  0.0782  0.6644  1 P 1.52
O  0.1486  0.3695  0.8142  2 P 1.56-1.62
O  0.2581  0.9941  0.9918  1 P 1.52
O  0.3302  0.6136  0.0699  1 P 1.46
O  0.3440  0.8882  0.6866  1 P 1.56
O  0.3695  0.1486  0.3142  2 P 1.56-1.62
O  0.3864  0.6698  0.4301  1 P 1.46
O  0.3900  0.6100  0.7500  2 P 1.61
O  0.6100  0.3900  0.2500  2 P 1.61
O  0.6136  0.3302  0.5699  1 P 1.46
O  0.6305  0.8514  0.6858  2 P 1.56-1.62
O  0.6560  0.1118  0.3134  1 P 1.56
O  0.6698  0.3864  0.9301  1 P 1.46
O  0.7419  0.0059  0.0082  1 P 1.52
O  0.8514  0.6305  0.1858  2 P 1.56-1.62
O  0.8615  0.9218  0.3356  1 P 1.52
O  0.8691  0.1309  0.7500  2 P 1.61
O  0.8882  0.3440  0.1866  1 P 1.56
O  0.9218  0.8615  0.8356  1 P 1.52
O  0.9941  0.2581  0.4918  1 P 1.52



Record 2
Below is a relaxed MnP3O9 crystal, with properties calculated at the GGA+U level.

Computed properties:
* size of the total moment: 4.00 μB per formula unit
* offset from the most stable computed form: 0.0456 eV/atom
* uncorrected energy: -7.24 eV per atom
* E_form: -2.47 eV per atom

Cell: 7.3001 9.6733 10.2177 Å, 93.61 93.25 101.01°
Closest atoms and distances in Å follow each position.
Positions (direct):
O  0.1823  0.2260  0.6904  1 P 1.48
O  0.6413  0.6909  0.5476  1 P 1.51
O  0.3771  0.8143  0.5690  2 P 1.57-1.65
O  0.0372  0.0612  0.8663  1 P 1.53
P  0.8088  0.3923  0.7258  4 O 1.48-1.62
O  0.9775  0.2400  0.4281  1 P 1.53
P  0.5691  0.8304  0.9770  4 O 1.51-1.61
O  0.6800  0.9492  0.9075  1 P 1.51
O  0.6228  0.6857  0.9310  2 P 1.57-1.65
P  0.8139  0.6187  0.9444  3 O 1.47-1.62
O  0.7762  0.0320  0.3015  2 P 1.58-1.62
O  0.8111  0.5319  0.0572  1 P 1.47
Mn  0.8409  0.6347  0.4525  5 O 1.93-2.07
O  0.0375  0.5613  0.3663  1 P 1.53
O  0.3200  0.5508  0.5925  1 P 1.51
O  0.3590  0.3092  0.4525  1 P 1.51
Mn  0.1593  0.3655  0.5474  5 O 1.93-2.07
O  0.6151  0.3523  0.6334  2 P 1.61-1.62
O  0.2238  0.9679  0.6985  2 P 1.58-1.62
O  0.3852  0.6478  0.3665  2 P 1.61-1.62
P  0.1861  0.8814  0.5556  3 O 1.47-1.62
O  0.3850  0.1477  0.8666  2 P 1.61-1.62
O  0.3769  0.3142  0.0690  2 P 1.57-1.65
P  0.1859  0.3813  0.0556  3 O 1.47-1.62
O  0.9625  0.9387  0.1337  1 P 1.53
Mn  0.8407  0.1346  0.9526  5 O 1.93-2.07
P  0.4306  0.1695  0.0231  4 O 1.51-1.61
O  0.8113  0.0319  0.5572  1 P 1.47
O  0.3197  0.0507  0.0926  1 P 1.51
O  0.1889  0.9682  0.4428  1 P 1.47
P  0.1912  0.1077  0.7742  4 O 1.48-1.62
O  0.6148  0.8522  0.1335  2 P 1.61-1.62
O  0.6410  0.1908  0.0476  1 P 1.51
O  0.1824  0.7260  0.1904  1 P 1.48
O  0.0228  0.7600  0.5719  1 P 1.53
O  0.9628  0.4388  0.6338  1 P 1.53
O  0.3587  0.8091  0.9524  1 P 1.51
P  0.1914  0.6078  0.2742  4 O 1.48-1.62
O  0.1888  0.4681  0.9428  1 P 1.47
P  0.8086  0.8922  0.2258  4 O 1.48-1.62
O  0.2239  0.4680  0.1985  2 P 1.58-1.62
O  0.6803  0.4493  0.4074  1 P 1.51
O  0.9772  0.7400  0.9281  1 P 1.53
O  0.7762  0.5320  0.8015  2 P 1.58-1.62
Mn  0.1589  0.8652  0.0475  5 O 1.93-2.07
P  0.4309  0.6696  0.5230  4 O 1.51-1.61
O  0.6231  0.1858  0.4310  2 P 1.57-1.65
O  0.8177  0.2740  0.8096  1 P 1.48
P  0.8142  0.1187  0.4443  3 O 1.47-1.62
O  0.8176  0.7740  0.3096  1 P 1.48
O  0.0226  0.2600  0.0719  1 P 1.53
P  0.5694  0.3305  0.4769  4 O 1.51-1.61



Record 3
Below is a relaxed MnPO4 crystal, with properties calculated at the GGA+U level.

Computed properties:
* size of the total moment: 4.00 μB per formula unit
* uncorrected energy: -7.35 eV per atom
* E_form: -2.35 eV per atom
* SG: No. 152

Cell: 5.1340 5.1340 11.8410 Å, 90.00 90.00 120.00°
Closest atoms and distances in Å follow each position.
Positions (direct):
Mn  0.0000  0.4473  0.1667  4 O 1.89-1.96
Mn  0.4473  0.0000  0.8333  4 O 1.89-1.96
Mn  0.5527  0.5527  0.5000  4 O 1.89-1.96
P  0.0000  0.4398  0.6667  4 O 1.54-1.55
P  0.4398  0.0000  0.3333  4 O 1.54-1.55
P  0.5602  0.5602  0.0000  4 O 1.54-1.55
O  0.1117  0.6698  0.7653  1 P 1.55
O  0.1376  0.7384  0.2911  1 P 1.54
O  0.2616  0.3992  0.6244  1 P 1.54
O  0.3302  0.4418  0.0986  1 P 1.55
O  0.3992  0.2616  0.3756  1 P 1.54
O  0.4418  0.3302  0.9014  1 P 1.55
O  0.5582  0.8883  0.4320  1 P 1.55
O  0.6008  0.8624  0.9577  1 P 1.54
O  0.6698  0.1117  0.2347  1 P 1.55
O  0.7384  0.1376  0.7089  1 P 1.54
O  0.8624  0.6008  0.0423  1 P 1.54
O  0.8883  0.5582  0.5680  1 P 1.55



Record 4
Below is a relaxed MnP3O9 crystal, with properties calculated at the GGA+U level.

Computed properties:
* size of the total moment: 4.00 μB per formula unit
* offset from the most stable computed form: 0.0000 eV/atom
* uncorrected energy: -7.29 eV per atom
* E_form: -2.51 eV per atom
* SG: No. 9

Cell: 11.7726 11.7726 9.4398 Å, 108.99 108.99 111.77°
Closest atoms and distances in Å follow each position.
Positions (direct):
Mn  0.0797  0.9203  0.5000  6 O 1.95-2.11
Mn  0.2629  0.7727  0.0321  6 O 1.92-2.09
Mn  0.4085  0.5855  0.4948  6 O 1.94-2.15
Mn  0.5855  0.4085  0.9948  6 O 1.94-2.15
Mn  0.7727  0.2629  0.5321  6 O 1.92-2.09
Mn  0.9203  0.0797  0.0000  6 O 1.95-2.11
P  0.0026  0.7318  0.6841  4 O 1.49-1.60
P  0.0658  0.6768  0.1928  4 O 1.50-1.59
P  0.0668  0.4379  0.2485  4 O 1.48-1.63
P  0.1068  0.1666  0.8226  4 O 1.50-1.60
P  0.1289  0.4189  0.7885  4 O 1.49-1.62
P  0.1666  0.1068  0.3226  4 O 1.50-1.60
P  0.3243  0.3808  0.6566  4 O 1.48-1.62
P  0.3808  0.3243  0.1566  4 O 1.48-1.62
P  0.4189  0.1289  0.2885  4 O 1.49-1.62
P  0.4379  0.0668  0.7485  4 O 1.48-1.63
P  0.4516  0.8512  0.8526  4 O 1.48-1.60
P  0.5172  0.7901  0.3475  4 O 1.49-1.61
P  0.6768  0.0658  0.6928  4 O 1.50-1.59
P  0.7128  0.7517  0.2219  4 O 1.48-1.61
P  0.7318  0.0026  0.1841  4 O 1.49-1.60
P  0.7517  0.7128  0.7219  4 O 1.48-1.61
P  0.7901  0.5172  0.8475  4 O 1.49-1.61
P  0.8512  0.4516  0.3526  4 O 1.48-1.60
O  0.0350  0.3032  0.1156  1 P 1.48
O  0.0443  0.5255  0.1509  2 P 1.59-1.63
O  0.0677  0.7427  0.3600  1 P 1.50
O  0.0766  0.8601  0.6693  1 P 1.52
O  0.0782  0.7453  0.8553  1 P 1.49
O  0.0817  0.9751  0.3250  1 P 1.51
O  0.0986  0.1002  0.6511  1 P 1.50
O  0.1002  0.0986  0.1511  1 P 1.50
O  0.1448  0.3253  0.8786  2 P 1.60-1.62
O  0.1770  0.5582  0.9339  1 P 1.49
O  0.1916  0.2423  0.4732  2 P 1.60-1.62
O  0.1949  0.7699  0.1922  1 P 1.51
O  0.2059  0.5322  0.4195  1 P 1.51
O  0.2423  0.1916  0.9732  2 P 1.60-1.62
O  0.2473  0.4468  0.7329  2 P 1.59-1.60
O  0.3032  0.0350  0.6156  1 P 1.48
O  0.3253  0.1448  0.3786  2 P 1.60-1.62
O  0.3361  0.9869  0.1271  1 P 1.49
O  0.3393  0.3986  0.2699  1 P 1.48
O  0.3386  0.7621  0.8799  1 P 1.52
O  0.3976  0.9412  0.7909  2 P 1.59-1.60
O  0.3986  0.3393  0.7699  1 P 1.48
O  0.4098  0.6836  0.3644  1 P 1.51
O  0.4151  0.4868  0.6232  1 P 1.51
O  0.4468  0.2473  0.2329  2 P 1.59-1.60
O  0.4578  0.8339  0.2248  1 P 1.49
O  0.4830  0.7709  0.7298  1 P 1.48
O  0.4868  0.4151  0.1232  1 P 1.51
O  0.5255  0.0443  0.6509  2 P 1.59-1.63
O  0.5322  0.2059  0.9195  1 P 1.51
O  0.5582  0.1770  0.4339  1 P 1.49
O  0.5939  0.9755  0.0344  2 P 1.60
O  0.6049  0.7279  0.2946  2 P 1.58-1.61
O  0.6111  0.6546  0.5685  1 P 1.50
O  0.6397  0.9268  0.5361  2 P 1.59-1.61
O  0.6546  0.6111  0.0685  1 P 1.50
O  0.6836  0.4098  0.8644  1 P 1.51
O  0.6909  0.8434  0.1322  2 P 1.60-1.61
O  0.7279  0.6049  0.7946  2 P 1.58-1.61
O  0.7427  0.0677  0.8600  1 P 1.50
O  0.7453  0.0782  0.3553  1 P 1.49
O  0.7621  0.3386  0.3799  1 P 1.52
O  0.7699  0.1949  0.6922  1 P 1.51
O  0.7709  0.4830  0.2298  1 P 1.48
O  0.8295  0.8583  0.8724  1 P 1.48
O  0.8339  0.4578  0.7248  1 P 1.49
O  0.8434  0.6909  0.6322  2 P 1.60-1.61
O  0.8583  0.8295  0.3724  1 P 1.48
O  0.8601  0.0766  0.1693  1 P 1.52
O  0.9268  0.6397  0.0361  2 P 1.59-1.61
O  0.9412  0.3976  0.2909  2 P 1.59-1.60
O  0.9751  0.0817  0.8250  1 P 1.51
O  0.9755  0.5939  0.5344  2 P 1.60
O  0.9869  0.3361  0.6271  1 P 1.49